MgTl4Ni4O12: relaxed, PBE with a Hubbard U.

Unit cell a=5.5900 b=5.7278 c=8.8139 alpha=78.04 beta=83.87 gamma=82.24
With the nearest neighbours (Å) after each atom.
Space group P1 (No. 1)
Symmetry-distinct sites (fractional):
Mg 0.0000 0.0000 0.0000 x1  5 O 1.98-2.11
Tl 0.0611 0.7772 0.3685 x1  6 O 2.21-2.46
Tl 0.5307 0.2457 0.8391 x1  5 O 2.22-2.32
Tl 0.5943 0.2444 0.3592 x1  4 O 2.13-2.29
Tl 0.9747 0.6527 0.7857 x1  5 O 2.16-2.38
Ni 0.0876 0.1981 0.5857 x1  5 O 2.01-2.09
Ni 0.1122 0.3591 0.1557 x1  5 O 2.02-2.15
Ni 0.5500 0.6782 0.5777 x1  4 O 1.88-1.94
Ni 0.5556 0.8115 0.1560 x1  5 O 1.90-2.03
O 0.1426 0.3322 0.9299 x1  1 Ni 2.02, 1 Mg 2.11, 1 Tl 2.16
O 0.2382 0.8490 0.5845 x1  2 Ni 1.88-2.06
O 0.2399 0.9867 0.1583 x1  1 Ni 1.91, 1 Mg 2.02
O 0.3686 0.5306 0.2302 x1  2 Ni 2.00-2.07, 1 Tl 2.13
O 0.4119 0.3427 0.5870 x1  2 Ni 2.09-2.15, 2 Tl 2.29-2.32
O 0.5624 0.6363 0.7975 x1  1 Ni 1.91
O 0.6253 0.8464 0.3714 x1  2 Ni 1.91-2.03
O 0.6687 0.1146 0.0784 x1  1 Ni 1.90, 1 Mg 1.98
O 0.8833 0.5323 0.5687 x1  2 Ni 1.94-2.08
O 0.8831 0.6694 0.1046 x1  2 Ni 1.95-2.04, 1 Mg 2.08
O 0.8959 0.0449 0.7784 x1  1 Ni 2.01, 1 Mg 2.05, 1 Tl 2.22
O 0.9821 0.2071 0.3729 x1  2 Ni 2.01-2.03, 1 Tl 2.16

Computed properties:
Electronic total energy   -4.6546 eV per atom
Crystal system   triclinic
Energy with MP2020 corrections   -5.5312 eV per atom
Formation enthalpy at 0 K   -22.6 eV per formula unit
Spin magnetization   0.286 μB/atom

***

KCo2Mo2O10: relaxed, PBE with a Hubbard U.

Unit cell a=10.1859 b=6.0283 c=8.5502 alpha=90.00 beta=116.83 gamma=90.00
With the nearest neighbours (Å) after each atom.
Space group C2/m (No. 12)
Symmetry-distinct sites (fractional):
K 0.0000 0.0000 0.0000 x2  6 O 2.76-3.05
Co 0.2500 0.2500 0.5000 x4  2 O 1.81
Mo 0.0695 0.5000 0.7558 x4  4 O 1.74-1.86
O 0.0478 0.2599 0.2866 x8  1 Mo 1.81
O 0.1733 0.5000 0.6236 x4  1 Mo 1.86
O 0.1926 0.5000 0.9778 x4  1 Mo 1.74
O 0.1987 0.0000 0.5761 x4  2 Co 1.81

Computed properties:
Electronic total energy   -6.2946 eV per atom
Crystal system   monoclinic
Energy with MP2020 corrections   -7.3980 eV per atom
Formation enthalpy at 0 K   -24.5 eV per formula unit
Spin magnetization   0.371 μB/atom

***

CsBa2Ni2F9: relaxed, PBE with a Hubbard U.

Unit cell a=5.9301 b=5.9301 c=21.6174 alpha=90.00 beta=90.00 gamma=120.00
With the nearest neighbours (Å) after each atom.
Space group R3m (No. 160, hexagonal axes)
Symmetry-distinct sites (fractional):
Cs 0.0000 0.0000 0.0000 x3  12 F 2.98-3.19
Ba 0.0000 0.0000 0.2143 x3  12 F 2.76-2.97
Ba 0.0000 0.0000 0.4188 x3  9 F 2.79-3.02
Ni 0.0000 0.0000 0.6042 x3  6 F 2.00-2.10
Ni 0.0000 0.0000 0.8255 x3  6 F 1.98-2.10
F 0.0002 0.5001 0.4460 x9  1 Ni 1.98
F 0.0064 0.5032 0.9825 x9  1 Ni 2.00
F 0.0124 0.5062 0.2105 x9  2 Ni 2.10

Computed properties:
Electronic total energy   -4.9123 eV per atom
Crystal system   trigonal
Energy with MP2020 corrections   -5.5723 eV per atom
Formation enthalpy at 0 K   -44.5 eV per formula unit
Spin magnetization   0.286 μB/atom

***

Which of these has the highest spin magnetization? KCo2Mo2O10

***

What is the formula in the first record? MgTl4Ni4O12